1.
# NiP | Materials Project | PBE | optimized geometry
data_NiP
_cell_length_a 4.934
_cell_length_b 17.040
_cell_length_c 5.928
_cell_angle_alpha 90.00
_cell_angle_beta 90.00
_cell_angle_gamma 90.00
_space_group_name_H-M_alt 'P n m a'
_space_group_IT_number 62
_space_group_name_Hall '-P 2ac 2n'
loop_
_atom_site_label
_atom_site_fract_x
_atom_site_fract_y
_atom_site_fract_z
Ni1 0.002 0.250 0.199
Ni2 0.017 0.041 0.308
Ni3 0.030 0.163 0.806
P1 0.161 0.750 0.437
P2 0.171 0.045 0.943
P3 0.198 0.153 0.437
# - Energy relative to the elements: -0.42 eV/atom
# - Crystal system: orthorhombic

2.
# Pr2Ni12P7 | Materials Project | PBE | optimized geometry
data_Pr2Ni12P7
_cell_length_a 9.106
_cell_length_b 3.762
_cell_length_c 9.109
_cell_angle_alpha 90.00
_cell_angle_beta 119.89
_cell_angle_gamma 90.00
_space_group_name_H-M_alt 'P 1 m 1'
_space_group_IT_number 6
_space_group_name_Hall 'P -2y'
loop_
_atom_site_label
_atom_site_fract_x
_atom_site_fract_y
_atom_site_fract_z
Pr1 0.000 0.000 0.000
Pr2 0.333 0.500 0.666
Ni1 0.045 0.500 0.760
Ni2 0.098 0.000 0.391
Ni3 0.240 0.500 0.285
Ni4 0.292 0.000 0.901
Ni5 0.395 0.000 0.208
Ni6 0.549 0.500 0.122
Ni7 0.572 0.500 0.450
Ni8 0.608 0.000 0.707
Ni9 0.714 0.500 0.955
Ni10 0.791 0.000 0.187
Ni11 0.812 0.000 0.604
Ni12 0.878 0.500 0.427
P1 0.068 0.000 0.628
P2 0.266 0.500 0.036
P3 0.371 0.000 0.440
P4 0.560 0.000 0.931
P5 0.666 0.000 0.333
P6 0.768 0.500 0.733
P7 0.964 0.500 0.231
# - Energy relative to the elements: -0.73 eV/atom
# - Crystal system: monoclinic
# - Spin magnetization: 0.00 μB per formula unit

3.
# Pr2Ni3P4 | Materials Project | PBE | optimized geometry
data_Pr2Ni3P4
_cell_length_a 3.960
_cell_length_b 3.960
_cell_length_c 9.346
_cell_angle_alpha 90.00
_cell_angle_beta 90.00
_cell_angle_gamma 90.00
_space_group_name_H-M_alt 'P -4 m 2'
_space_group_IT_number 115
_space_group_name_Hall 'P -4 -2'
loop_
_atom_site_label
_atom_site_fract_x
_atom_site_fract_y
_atom_site_fract_z
Pr1 0.000 0.500 0.238
Ni1 0.000 0.000 0.000
Ni2 0.000 0.000 0.500
Ni3 0.500 0.500 0.500
P1 0.000 0.500 0.623
P2 0.000 0.500 0.879
# - Energy relative to the elements: -0.99 eV/atom
# - Crystal system: tetragonal

4.
# Pr2Ni7P4 | Materials Project | PBE | optimized geometry
data_Pr2Ni7P4
_cell_length_a 3.773
_cell_length_b 9.263
_cell_length_c 10.478
_cell_angle_alpha 90.00
_cell_angle_beta 90.00
_cell_angle_gamma 90.00
_space_group_name_H-M_alt 'P m n 21'
_space_group_IT_number 31
_space_group_name_Hall 'P 2ac -2'
loop_
_atom_site_label
_atom_site_fract_x
_atom_site_fract_y
_atom_site_fract_z
Pr1 0.000 0.061 0.000
Pr2 0.000 0.437 0.217
Ni1 0.000 0.061 0.696
Ni2 0.000 0.096 0.302
Ni3 0.000 0.305 0.791
Ni4 0.000 0.417 0.520
Ni5 0.000 0.682 0.477
Ni6 0.000 0.725 0.889
Ni7 0.000 0.747 0.119
P1 0.000 0.184 0.505
P2 0.000 0.476 0.934
P3 0.000 0.815 0.689
P4 0.000 0.843 0.306
# - Energy relative to the elements: -0.83 eV/atom
# - Crystal system: orthorhombic
# - Spin magnetization: 0.00 μB per formula unit

5.
# PrNiP | Materials Project | PBE | optimized geometry
data_PrNiP
_cell_length_a 3.9899
_cell_length_b 3.9899
_cell_length_c 16.2274
_cell_angle_alpha 90.00
_cell_angle_beta 90.00
_cell_angle_gamma 120.00
_space_group_name_H-M_alt 'P 63/m m c'
_space_group_IT_number 194
_space_group_name_Hall '-P 6c 2c'
loop_
_atom_site_label
_atom_site_fract_x
_atom_site_fract_y
_atom_site_fract_z
Pr1 0.0000 0.0000 0.0000
Pr2 0.0000 0.0000 0.2500
Ni1 0.3333 0.6667 0.1263
P1 0.3333 0.6667 0.6250
# - Energy relative to the elements: -1.13 eV/atom
# - Crystal system: hexagonal

6.
# Pr3Ni7P5 | Materials Project | PBE | optimized geometry
data_Pr3Ni7P5
_cell_length_a 16.582
_cell_length_b 3.947
_cell_length_c 16.625
_cell_angle_alpha 90.00
_cell_angle_beta 119.84
_cell_angle_gamma 90.00
_space_group_name_H-M_alt 'P 1 m 1'
_space_group_IT_number 6
_space_group_name_Hall 'P -2y'
loop_
_atom_site_label
_atom_site_fract_x
_atom_site_fract_y
_atom_site_fract_z
Pr1 0.000 0.000 0.000
Pr2 0.029 0.500 0.323
Pr3 0.088 0.500 0.589
Pr4 0.206 0.000 0.940
Pr5 0.263 0.000 0.206
Pr6 0.294 0.500 0.531
Pr7 0.413 0.000 0.884
Pr8 0.472 0.000 0.149
Pr9 0.526 0.000 0.410
Pr10 0.765 0.500 0.117
Pr11 0.821 0.500 0.381
Pr12 0.883 0.500 0.645
Ni1 0.082 0.000 0.213
Ni2 0.094 0.500 0.778
Ni3 0.138 0.000 0.482
Ni4 0.156 0.500 0.048
Ni5 0.200 0.000 0.751
Ni6 0.211 0.500 0.317
Ni7 0.305 0.500 0.722
Ni8 0.342 0.000 0.417
Ni9 0.364 0.500 0.991
Ni10 0.397 0.000 0.690
Ni11 0.421 0.500 0.257
Ni12 0.474 0.500 0.525
Ni13 0.551 0.000 0.825
Ni14 0.579 0.500 0.937
Ni15 0.589 0.000 0.616
Ni16 0.603 0.000 0.069
Ni17 0.634 0.500 0.200
Ni18 0.660 0.000 0.331
Ni19 0.688 0.500 0.464
Ni20 0.722 0.000 0.590
Ni21 0.735 0.500 0.708
Ni22 0.795 0.000 0.855
Ni23 0.821 0.000 0.013
Ni24 0.872 0.000 0.273
Ni25 0.895 0.500 0.839
Ni26 0.931 0.000 0.539
Ni27 0.945 0.500 0.107
Ni28 0.990 0.000 0.807
P1 0.039 0.000 0.695
P2 0.051 0.500 0.893
P3 0.108 0.500 0.156
P4 0.184 0.000 0.374
P5 0.242 0.000 0.637
P6 0.256 0.500 0.835
P7 0.314 0.500 0.098
P8 0.369 0.500 0.362
P9 0.443 0.000 0.578
P10 0.466 0.500 0.780
P11 0.520 0.500 0.042
P12 0.576 0.500 0.303
P13 0.626 0.500 0.564
P14 0.664 0.000 0.968
P15 0.717 0.000 0.226
P16 0.774 0.000 0.487
P17 0.829 0.000 0.745
P18 0.842 0.500 0.946
P19 0.924 0.000 0.169
P20 0.980 0.000 0.431
# - Energy relative to the elements: -0.91 eV/atom
# - Crystal system: monoclinic
# - Spin magnetization: 0.01 μB per formula unit

7.
# Pr9Ni26P12 | Materials Project | PBE | optimized geometry
data_Pr9Ni26P12
_cell_length_a 14.4244
_cell_length_b 14.4244
_cell_length_c 3.8763
_cell_angle_alpha 90.00
_cell_angle_beta 90.00
_cell_angle_gamma 120.00
_space_group_name_H-M_alt 'P -6 m 2'
_space_group_IT_number 187
_space_group_name_Hall 'P -6 2'
loop_
_atom_site_label
_atom_site_fract_x
_atom_site_fract_y
_atom_site_fract_z
Pr1 0.1823 0.0912 0.0000
Pr2 0.2409 0.4817 0.5000
Pr3 0.5244 0.0488 0.5000
Ni1 0.0000 0.0000 0.5000
Ni2 0.0058 0.2871 0.5000
Ni3 0.1373 0.5686 0.0000
Ni4 0.1423 0.2847 0.0000
Ni5 0.3333 0.6667 0.0000
Ni6 0.4098 0.1214 0.0000
Ni7 0.5336 0.2668 0.5000
Ni8 0.6114 0.2228 0.0000
P1 0.0576 0.3869 0.0000
P2 0.0926 0.1851 0.5000
P3 0.3606 0.1803 0.5000
# - Energy relative to the elements: -0.76 eV/atom
# - Crystal system: hexagonal
# - Spin magnetization: 0.87 μB per formula unit

8.
# Re3Ni2P5 | Materials Project | PBE | optimized geometry
data_Re3Ni2P5
_cell_length_a 3.132
_cell_length_b 5.798
_cell_length_c 30.215
_cell_angle_alpha 90.00
_cell_angle_beta 90.00
_cell_angle_gamma 90.00
_space_group_name_H-M_alt 'I m m 2'
_space_group_IT_number 44
_space_group_name_Hall 'I 2 -2'
loop_
_atom_site_label
_atom_site_fract_x
_atom_site_fract_y
_atom_site_fract_z
Re1 0.000 0.000 0.000
Re2 0.000 0.000 0.198
Re3 0.000 0.000 0.397
Re4 0.000 0.000 0.598
Re5 0.000 0.000 0.796
Re6 0.000 0.500 0.380
Ni1 0.000 0.500 0.177
Ni2 0.000 0.500 0.579
Ni3 0.000 0.500 0.778
Ni4 0.000 0.500 0.978
P1 0.000 0.289 0.852
P2 0.000 0.292 0.453
P3 0.000 0.295 0.251
P4 0.000 0.295 0.652
P5 0.000 0.297 0.052
# - Energy relative to the elements: -0.20 eV/atom
# - Crystal system: orthorhombic
# - Spin magnetization: 0.00 μB per formula unit

9.
# NiPS | Materials Project | PBE | optimized geometry
data_NiPS
_cell_length_a 5.536
_cell_length_b 5.536
_cell_length_c 5.536
_cell_angle_alpha 90.00
_cell_angle_beta 90.00
_cell_angle_gamma 90.00
_space_group_name_H-M_alt 'P 21 3'
_space_group_IT_number 198
_space_group_name_Hall 'P 2ac 2ab 3'
loop_
_atom_site_label
_atom_site_fract_x
_atom_site_fract_y
_atom_site_fract_z
Ni1 0.005 0.005 0.005
P1 0.113 0.887 0.387
S1 0.112 0.612 0.888
# - Energy relative to the elements: -0.52 eV/atom
# - Crystal system: cubic

10.
# Ni10SbP3 | Materials Project | PBE | optimized geometry
data_Ni10SbP3
_cell_length_a 7.6616
_cell_length_b 7.6616
_cell_length_c 9.6405
_cell_angle_alpha 90.00
_cell_angle_beta 90.00
_cell_angle_gamma 120.00
_space_group_name_H-M_alt 'P -3 m 1'
_space_group_IT_number 164
_space_group_name_Hall '-P 3 2"'
loop_
_atom_site_label
_atom_site_fract_x
_atom_site_fract_y
_atom_site_fract_z
Ni1 0.0000 0.0000 0.1196
Ni2 0.0000 0.3367 0.0000
Ni3 0.0164 0.5082 0.2596
Ni4 0.1366 0.2733 0.6983
Ni5 0.1886 0.3772 0.4278
Ni6 0.3333 0.6667 0.1117
Ni7 0.3333 0.6667 0.5975
Sb1 0.0000 0.0000 0.5000
Sb2 0.3333 0.6667 0.8601
P1 0.0000 0.5000 0.5000
P2 0.1646 0.3293 0.1908
# - Energy relative to the elements: -0.41 eV/atom
# - Crystal system: trigonal
# - Spin magnetization: 0.00 μB per formula unit

11.
# SiNi2P | Materials Project | PBE | optimized geometry
data_SiNi2P
_cell_length_a 4.985
_cell_length_b 13.667
_cell_length_c 5.871
_cell_angle_alpha 90.00
_cell_angle_beta 90.00
_cell_angle_gamma 90.00
_space_group_name_H-M_alt 'P b c a'
_space_group_IT_number 61
_space_group_name_Hall '-P 2ac 2ab'
loop_
_atom_site_label
_atom_site_fract_x
_atom_site_fract_y
_atom_site_fract_z
Si1 0.181 0.060 0.078
Ni1 0.012 0.065 0.697
Ni2 0.015 0.678 0.197
P1 0.184 0.681 0.562
# - Energy relative to the elements: -0.45 eV/atom
# - Crystal system: orthorhombic
# - Spin magnetization: 0.00 μB per formula unit

12.
# Si2NiP3 | Materials Project | PBE | optimized geometry
data_Si2NiP3
_cell_length_a 3.517
_cell_length_b 11.154
_cell_length_c 5.328
_cell_angle_alpha 90.00
_cell_angle_beta 90.00
_cell_angle_gamma 90.00
_space_group_name_H-M_alt 'I m m 2'
_space_group_IT_number 44
_space_group_name_Hall 'I 2 -2'
loop_
_atom_site_label
_atom_site_fract_x
_atom_site_fract_y
_atom_site_fract_z
Si1 0.000 0.165 0.000
Ni1 0.000 0.500 0.010
P1 0.000 0.000 0.754
P2 0.000 0.338 0.769
# - Energy relative to the elements: -0.27 eV/atom
# - Crystal system: orthorhombic

13.
# Si3NiP4 | Materials Project | PBE | optimized geometry
data_Si3NiP4
_cell_length_a 5.203
_cell_length_b 5.203
_cell_length_c 10.430
_cell_angle_alpha 90.00
_cell_angle_beta 90.00
_cell_angle_gamma 90.00
_space_group_name_H-M_alt 'I -4 2 m'
_space_group_IT_number 121
_space_group_name_Hall 'I -4 2'
loop_
_atom_site_label
_atom_site_fract_x
_atom_site_fract_y
_atom_site_fract_z
Si1 0.000 0.000 0.000
Si2 0.000 0.500 0.250
Ni1 0.000 0.000 0.500
P1 0.242 0.242 0.619
# - Energy relative to the elements: -0.24 eV/atom
# - Maximum piezoelectric response: 0.7 C/m²
# - Crystal system: tetragonal